1.
# La2Pd2O5 (PBE, optimized geometry)
# Energy of formation, meV/atom: -2572
# E_tot, eV/atom: -7.19
data_La2Pd2O5
_cell_length_a 6.753
_cell_length_b 6.753
_cell_length_c 5.667
_cell_angle_alpha 90.00
_cell_angle_beta 90.00
_cell_angle_gamma 90.00
_symmetry_space_group_name_H-M 'P 42/m'
_symmetry_Int_Tables_number 84
loop_
_symmetry_equiv_pos_as_xyz
'x,y,z'
'-x,-y,-z'
'-y,x,z+1/2'
'y,-x,-z+1/2'
'-x,-y,z'
'x,y,-z'
'y,-x,z+1/2'
'-y,x,-z+1/2'
loop_
_atom_site_label
_atom_site_fract_x
_atom_site_fract_y
_atom_site_fract_z
La1 0.108 0.262 0.000
Pd1 0.309 0.405 0.500
O1 0.000 0.000 0.250
O2 0.199 0.597 0.243



2.
# Be2P3NO10 (PBE, optimized geometry)
# Energy of formation, meV/atom: -2188
# Size of the total moment, μB per atom: 0.13
# E_tot, eV/atom: -6.85
data_Be2P3NO10
_cell_length_a 12.524
_cell_length_b 8.741
_cell_length_c 9.120
_cell_angle_alpha 90.00
_cell_angle_beta 117.68
_cell_angle_gamma 90.00
_symmetry_space_group_name_H-M 'C 1 2/c 1'
_symmetry_Int_Tables_number 15
loop_
_symmetry_equiv_pos_as_xyz
'x,y,z'
'-x,-y,-z'
'-x,y,-z+1/2'
'x,-y,z+1/2'
'x+1/2,y+1/2,z'
'-x+1/2,-y+1/2,-z'
'-x+1/2,y+1/2,-z+1/2'
'x+1/2,-y+1/2,z+1/2'
loop_
_atom_site_label
_atom_site_fract_x
_atom_site_fract_y
_atom_site_fract_z
Be1 0.250 0.036 0.067
P1 0.000 0.386 0.750
P2 0.180 0.189 0.747
N1 0.000 0.188 0.250
O1 0.049 0.272 0.654
O2 0.105 0.475 0.877
O3 0.174 0.075 0.870
O4 0.197 0.116 0.610
O5 0.228 0.184 0.161



3.
# CsLiO (PBE, optimized geometry)
# Energy of formation, meV/atom: -1567
# Size of the total moment, μB per atom: 0.00
# E_tot, eV/atom: -3.92
data_CsLiO
_cell_length_a 6.862
_cell_length_b 3.650
_cell_length_c 9.791
_cell_angle_alpha 90.00
_cell_angle_beta 90.00
_cell_angle_gamma 90.00
_symmetry_space_group_name_H-M 'P n m a'
_symmetry_Int_Tables_number 62
loop_
_symmetry_equiv_pos_as_xyz
'x,y,z'
'-x,-y,-z'
'-x+1/2,-y,z+1/2'
'x+1/2,y,-z+1/2'
'x+1/2,-y+1/2,-z+1/2'
'-x+1/2,y+1/2,z+1/2'
'-x,y+1/2,-z'
'x,-y+1/2,z'
loop_
_atom_site_label
_atom_site_fract_x
_atom_site_fract_y
_atom_site_fract_z
Cs1 0.005 0.250 0.174
Li1 0.097 0.750 0.507
O1 0.184 0.250 0.540



4.
# ZrVFe (PBE, optimized geometry)
# Energy of formation, meV/atom: -169
# Size of the total moment, μB per atom: 0.25
# E_tot, eV/atom: -8.87
# Distance to the lowest polymorph of the same formula, kcal/mol of atoms: 0.41
data_ZrVFe
_cell_length_a 8.319
_cell_length_b 5.130
_cell_length_c 8.734
_cell_angle_alpha 90.00
_cell_angle_beta 90.00
_cell_angle_gamma 90.00
_symmetry_space_group_name_H-M 'A m m 2'
_symmetry_Int_Tables_number 38
loop_
_symmetry_equiv_pos_as_xyz
'x,y,z'
'-x,-y,z'
'-x,y,z'
'x,-y,z'
'x,y+1/2,z+1/2'
'-x,-y+1/2,z+1/2'
'-x,y+1/2,z+1/2'
'x,-y+1/2,z+1/2'
loop_
_atom_site_label
_atom_site_fract_x
_atom_site_fract_y
_atom_site_fract_z
Zr1 0.184 0.000 0.000
Zr2 0.303 0.000 0.667
V1 0.000 0.000 0.492
V2 0.500 0.000 0.163
V3 0.500 0.249 0.917
Fe1 0.000 0.248 0.744
Fe2 0.247 0.000 0.332



5.
# GdGaPd2 (PBE, optimized geometry)
# Energy of formation, meV/atom: -883
# E_tot, eV/atom: -7.75
data_GdGaPd2
_cell_length_a 7.472
_cell_length_b 7.166
_cell_length_c 5.718
_cell_angle_alpha 90.00
_cell_angle_beta 90.00
_cell_angle_gamma 90.00
_symmetry_space_group_name_H-M 'P n m a'
_symmetry_Int_Tables_number 62
loop_
_symmetry_equiv_pos_as_xyz
'x,y,z'
'-x,-y,-z'
'-x+1/2,-y,z+1/2'
'x+1/2,y,-z+1/2'
'x+1/2,-y+1/2,-z+1/2'
'-x+1/2,y+1/2,z+1/2'
'-x,y+1/2,-z'
'x,-y+1/2,z'
loop_
_atom_site_label
_atom_site_fract_x
_atom_site_fract_y
_atom_site_fract_z
Gd1 0.033 0.250 0.150
Ga1 0.121 0.750 0.348
Pd1 0.177 0.053 0.588



6.
# PrScGe (PBE, optimized geometry)
# Energy of formation, meV/atom: -710
# E_tot, eV/atom: -5.96
data_PrScGe
_cell_length_a 4.345
_cell_length_b 4.345
_cell_length_c 16.129
_cell_angle_alpha 90.00
_cell_angle_beta 90.00
_cell_angle_gamma 90.00
_symmetry_space_group_name_H-M 'I 4/m m m'
_symmetry_Int_Tables_number 139
_symmetry_space_group_name_Hall '-I 4 2'
loop_
_atom_site_label
_atom_site_fract_x
_atom_site_fract_y
_atom_site_fract_z
Pr1 0.000 0.000 0.176
Sc1 0.000 0.500 0.000
Ge1 0.000 0.000 0.378



7.
# LiCuCO3 (PBE, optimized geometry)
# Energy of formation, meV/atom: -1654
# Size of the total moment, μB per atom: 0.00
# E_tot, eV/atom: -6.32
# Distance to the lowest polymorph of the same formula, kcal/mol of atoms: 0.71
data_LiCuCO3
_cell_length_a 4.809
_cell_length_b 3.215
_cell_length_c 17.136
_cell_angle_alpha 90.00
_cell_angle_beta 93.22
_cell_angle_gamma 90.00
_symmetry_space_group_name_H-M 'P 1 c 1'
_symmetry_Int_Tables_number 7
loop_
_symmetry_equiv_pos_as_xyz
'x,y,z'
'x,-y,z+1/2'
loop_
_atom_site_label
_atom_site_fract_x
_atom_site_fract_y
_atom_site_fract_z
Li1 0.000 0.202 0.000
Li2 0.344 0.247 0.625
Cu1 0.441 0.060 0.806
Cu2 0.844 0.441 0.348
C1 0.461 0.283 0.460
C2 0.866 0.187 0.700
O1 0.017 0.344 0.759
O2 0.312 0.089 0.405
O3 0.339 0.404 0.521
O4 0.599 0.122 0.707
O5 0.730 0.349 0.454
O6 0.974 0.100 0.636



8.
# KCeTe4 (PBE, optimized geometry)
# Energy of formation, meV/atom: -605
# Size of the total moment, μB per atom: 0.17
# E_tot, eV/atom: -3.59
data_KCeTe4
_cell_length_a 8.588
_cell_length_b 8.588
_cell_length_c 10.540
_cell_angle_alpha 90.00
_cell_angle_beta 90.00
_cell_angle_gamma 90.00
_symmetry_space_group_name_H-M 'P 4/m m m'
_symmetry_Int_Tables_number 123
_symmetry_space_group_name_Hall '-P 4 2'
loop_
_atom_site_label
_atom_site_fract_x
_atom_site_fract_y
_atom_site_fract_z
K1 0.000 0.500 0.000
Ce1 0.000 0.500 0.500
Te1 0.000 0.257 0.285



9.
# NdAl10Ru2 (PBE, optimized geometry)
# Energy of formation, meV/atom: -519
# E_tot, eV/atom: -5.19
data_NdAl10Ru2
_cell_length_a 9.144
_cell_length_b 10.316
_cell_length_c 9.209
_cell_angle_alpha 90.00
_cell_angle_beta 90.00
_cell_angle_gamma 90.00
_symmetry_space_group_name_H-M 'C m c m'
_symmetry_Int_Tables_number 63
_symmetry_space_group_name_Hall '-C 2c 2'
loop_
_atom_site_label
_atom_site_fract_x
_atom_site_fract_y
_atom_site_fract_z
Nd1 0.000 0.125 0.250
Al1 0.000 0.159 0.600
Al2 0.000 0.377 0.048
Al3 0.148 0.371 0.750
Al4 0.225 0.363 0.250
Al5 0.229 0.000 0.000
Ru1 0.250 0.250 0.000



10.
# Te2MoW3S6 (PBE, optimized geometry)
# Energy of formation, meV/atom: -837
# Size of the total moment, μB per atom: 0.00
# E_tot, eV/atom: -7.32
# Distance to the lowest polymorph of the same formula, kcal/mol of atoms: 0.85
data_Te2MoW3S6
_cell_length_a 3.2741
_cell_length_b 3.2741
_cell_length_c 38.9844
_cell_angle_alpha 90.00
_cell_angle_beta 90.00
_cell_angle_gamma 120.00
_symmetry_space_group_name_H-M 'P 3 m 1'
_symmetry_Int_Tables_number 156
loop_
_symmetry_equiv_pos_as_xyz
'x,y,z'
'-y,x-y,z'
'-x+y,-x,z'
'-y,-x,z'
'-x+y,y,z'
'x,x-y,z'
loop_
_atom_site_label
_atom_site_fract_x
_atom_site_fract_y
_atom_site_fract_z
Te1 0.0000 0.0000 0.0000
Te2 0.0000 0.0000 0.0995
Mo1 0.0000 0.0000 0.8609
W1 0.0000 0.0000 0.2390
W2 0.3333 0.6667 0.0498
W3 0.3333 0.6667 0.4259
S1 0.0000 0.0000 0.3863
S2 0.0000 0.0000 0.4655
S3 0.3333 0.6667 0.1994
S4 0.3333 0.6667 0.2786
S5 0.3333 0.6667 0.8215
S6 0.3333 0.6667 0.9003



11.
# Ba2YMgCu3S7 (PBE, optimized geometry)
# Energy of formation, meV/atom: -1279
# Size of the total moment, μB per atom: 0.00
# E_tot, eV/atom: -4.82
data_Ba2YMgCu3S7
_cell_length_a 4.378
_cell_length_b 4.938
_cell_length_c 14.105
_cell_angle_alpha 90.00
_cell_angle_beta 90.00
_cell_angle_gamma 90.00
_symmetry_space_group_name_H-M 'P m m m'
_symmetry_Int_Tables_number 47
loop_
_symmetry_equiv_pos_as_xyz
'x,y,z'
'-x,-y,-z'
'-x,-y,z'
'x,y,-z'
'x,-y,-z'
'-x,y,z'
'-x,y,-z'
'x,-y,z'
loop_
_atom_site_label
_atom_site_fract_x
_atom_site_fract_y
_atom_site_fract_z
Ba1 0.000 0.000 0.173
Y1 0.000 0.000 0.500
Mg1 0.500 0.500 0.500
Cu1 0.500 0.500 0.000
Cu2 0.500 0.500 0.317
S1 0.000 0.500 0.383
S2 0.500 0.000 0.000
S3 0.500 0.000 0.379
S4 0.500 0.500 0.158



12.
# B10H13I (PBE, optimized geometry)
# Energy of formation, meV/atom: -105
# Size of the total moment, μB per atom: 0.00
# E_tot, eV/atom: -4.77
# Distance to the lowest polymorph of the same formula, kcal/mol of atoms: 0.06
data_B10H13I
_cell_length_a 7.635
_cell_length_b 15.508
_cell_length_c 11.615
_cell_angle_alpha 90.00
_cell_angle_beta 116.90
_cell_angle_gamma 90.00
_symmetry_space_group_name_H-M 'P 1 21/c 1'
_symmetry_Int_Tables_number 14
loop_
_symmetry_equiv_pos_as_xyz
'x,y,z'
'-x,-y,-z'
'-x,y+1/2,-z+1/2'
'x,-y+1/2,z+1/2'
loop_
_atom_site_label
_atom_site_fract_x
_atom_site_fract_y
_atom_site_fract_z
B1 0.003 0.077 0.240
B2 0.014 0.632 0.397
B3 0.017 0.746 0.394
B4 0.027 0.216 0.756
B5 0.141 0.186 0.246
B6 0.222 0.725 0.866
B7 0.227 0.586 0.255
B8 0.228 0.582 0.404
B9 0.241 0.688 0.466
B10 0.362 0.667 0.372
H1 0.038 0.214 0.541
H2 0.040 0.604 0.168
H3 0.067 0.096 0.049
H4 0.101 0.014 0.283
H5 0.106 0.218 0.339
H6 0.108 0.153 0.812
H7 0.146 0.720 0.738
H8 0.291 0.666 0.245
H9 0.303 0.523 0.474
H10 0.315 0.182 0.291
H11 0.320 0.662 0.905
H12 0.348 0.698 0.578
H13 0.465 0.170 0.088
I1 0.345 0.003 0.666



13.
# Li2HfO3 (PBE, optimized geometry)
# Energy of formation, meV/atom: -3170
# Size of the total moment, μB per atom: 0.00
# E_tot, eV/atom: -7.60
data_Li2HfO3
_cell_length_a 9.641
_cell_length_b 4.193
_cell_length_c 3.208
_cell_angle_alpha 90.00
_cell_angle_beta 91.24
_cell_angle_gamma 90.00
_symmetry_space_group_name_H-M 'C 1 2/m 1'
_symmetry_Int_Tables_number 12
loop_
_symmetry_equiv_pos_as_xyz
'x,y,z'
'-x,-y,-z'
'-x,y,-z'
'x,-y,z'
'x+1/2,y+1/2,z'
'-x+1/2,-y+1/2,-z'
'-x+1/2,y+1/2,-z'
'x+1/2,-y+1/2,z'
loop_
_atom_site_label
_atom_site_fract_x
_atom_site_fract_y
_atom_site_fract_z
Li1 0.157 0.000 0.007
Hf1 0.000 0.500 0.500
O1 0.000 0.000 0.500
O2 0.140 0.500 0.009



14.
# IrC2 (PBE, optimized geometry)
# Energy of formation, meV/atom: 1293
# Size of the total moment, μB per atom: 0.00
# E_tot, eV/atom: -7.81
# Distance to the lowest polymorph of the same formula, kcal/mol of atoms: 2.72
data_IrC2
_cell_length_a 6.762
_cell_length_b 2.766
_cell_length_c 7.837
_cell_angle_alpha 90.00
_cell_angle_beta 107.07
_cell_angle_gamma 90.00
_symmetry_space_group_name_H-M 'C 1 2/m 1'
_symmetry_Int_Tables_number 12
loop_
_symmetry_equiv_pos_as_xyz
'x,y,z'
'-x,-y,-z'
'-x,y,-z'
'x,-y,z'
'x+1/2,y+1/2,z'
'-x+1/2,-y+1/2,-z'
'-x+1/2,y+1/2,-z'
'x+1/2,-y+1/2,z'
loop_
_atom_site_label
_atom_site_fract_x
_atom_site_fract_y
_atom_site_fract_z
Ir1 0.135 0.000 0.292
C1 0.096 0.500 0.484
C2 0.183 0.000 0.788